VASP calculation (PBE) on Sr4MgTi3O10 after structural relaxation.

The size of the total moment is 0.000 μB per atom. For the energy above the most stable polymorph in this dataset, the calculation gives 99 meV per atom. Its formation energy is -303.4 kJ/mol of atoms.

The space group is I-4m2 (No. 119) and the conventional cell measures 3.925, 3.925 and 31.757 Å, with angles of 90.00, 90.00 and 90.00 degrees. Symmetry generates all atoms from Sr at (0.000, 0.000, 0.059), Sr at (0.000, 0.000, 0.181), Mg at (0.000, 0.500, 0.750), Ti at (0.000, 0.000, 0.377), Ti at (0.000, 0.000, 0.500), O at (0.000, 0.000, 0.279), O at (0.000, 0.000, 0.435), O at (0.000, 0.500, 0.000), O at (0.000, 0.500, 0.132) and O at (0.000, 0.500, 0.633).